SnP2O6: optimized geometry, PBE.

Lattice parameters (Å, degrees): 7.355 9.972 15.193 90.00 90.00 90.00
Fractional positions:
1 O 0.130 0.685 0.922
2 O 0.650 0.396 0.343
3 O 0.742 0.611 0.164
4 O 0.541 0.195 0.622
5 O 0.862 0.653 0.404
6 O 0.130 0.815 0.422
7 O 0.362 0.653 0.096
8 P 0.588 0.201 0.913
9 P 0.912 0.701 0.913
10 O 0.041 0.305 0.378
11 O 0.959 0.695 0.622
12 O 0.370 0.315 0.422
13 O 0.839 0.644 0.006
14 Sn 0.940 0.006 0.804
15 P 0.700 0.217 0.099
16 O 0.339 0.644 0.494
17 O 0.350 0.604 0.657
18 O 0.661 0.356 0.506
19 Sn 0.440 0.494 0.196
20 P 0.300 0.783 0.901
21 P 0.300 0.717 0.401
22 O 0.630 0.815 0.078
23 Sn 0.060 0.506 0.696
24 O 0.839 0.856 0.506
25 O 0.258 0.111 0.336
26 P 0.088 0.201 0.587
27 O 0.638 0.153 0.404
28 O 0.041 0.195 0.878
29 P 0.912 0.799 0.413
30 O 0.242 0.889 0.836
31 P 0.088 0.299 0.087
32 P 0.200 0.283 0.901
33 O 0.362 0.847 0.596
34 O 0.350 0.896 0.157
35 O 0.758 0.111 0.164
36 O 0.150 0.396 0.157
37 Sn 0.560 0.994 0.304
38 O 0.850 0.604 0.843
39 O 0.161 0.356 0.994
40 O 0.959 0.805 0.122
41 O 0.661 0.144 0.006
42 O 0.742 0.889 0.664
43 O 0.870 0.185 0.578
44 O 0.459 0.805 0.378
45 O 0.258 0.389 0.836
46 P 0.412 0.799 0.087
47 Sn 0.060 0.994 0.196
48 O 0.138 0.153 0.096
49 O 0.870 0.315 0.078
50 O 0.758 0.389 0.664
51 O 0.242 0.611 0.336
52 O 0.638 0.347 0.904
53 O 0.650 0.104 0.843
54 O 0.150 0.104 0.657
55 O 0.459 0.695 0.878
56 P 0.800 0.717 0.099
57 P 0.588 0.299 0.413
58 P 0.700 0.283 0.599
59 P 0.412 0.701 0.587
60 O 0.138 0.347 0.596
61 P 0.800 0.783 0.599
62 O 0.630 0.685 0.578
63 O 0.161 0.144 0.494
64 Sn 0.940 0.494 0.304
65 O 0.370 0.185 0.922
66 Sn 0.560 0.506 0.804
67 O 0.850 0.896 0.343
68 O 0.339 0.856 0.994
69 O 0.541 0.305 0.122
70 P 0.200 0.217 0.401
71 Sn 0.440 0.006 0.696
72 O 0.862 0.847 0.904

Output
- ΔH_f (0 K): -2.43 eV per atom
- Energy above the most stable polymorph in this dataset: 0 meV per atom